[1]
Crystalline Li2EuSn at its relaxed geometry, computed with r2SCAN.

The space group is Fm-3m (No. 225) and the conventional cell measures 7.021, 7.021 and 7.021 Å, with angles of 90.00, 90.00 and 90.00 degrees. The asymmetric unit holds Li at (0.250, 0.250, 0.250), Eu at (0.000, 0.000, 0.000) and Sn at (0.000, 0.000, 0.500).

As for the calculated formation energy: -0.583 eV/atom. Its raw total energy is -17.593 eV per atom. The calculation puts the calculated volume at 86.5 Å³/f.u. For the theoretical density, the calculation gives 5.46 g cm⁻³.

[2]
Crystalline LiEu2Tl at its relaxed geometry, computed with r2SCAN.

The space group is Fm-3m (No. 225) and the conventional cell measures 7.929, 7.929 and 7.929 Å, with angles of 90.00, 90.00 and 90.00 degrees. The asymmetric unit holds Li at (0.000, 0.000, 0.000), Eu at (0.250, 0.250, 0.250) and Tl at (0.000, 0.000, 0.500).

As for the calculated formation energy: -0.293 eV/atom. Its raw total energy is -33.445 eV per atom. The calculation puts the calculated volume at 124.6 Å³/f.u. For the theoretical density, the calculation gives 6.86 g cm⁻³.

[3]
Crystalline EuLu2O4 at its relaxed geometry, computed with r2SCAN.

The space group is Pnma (No. 62) and the conventional cell measures 9.815, 3.297 and 11.609 Å, with angles of 90.00, 90.00 and 90.00 degrees. The asymmetric unit holds Eu at (0.247, 0.250, 0.151), Lu at (0.074, 0.250, 0.388), Lu at (0.079, 0.250, 0.891), O at (0.018, 0.750, 0.783), O at (0.077, 0.250, 0.576), O at (0.124, 0.750, 0.021) and O at (0.210, 0.750, 0.329).

As for the calculated formation energy: -3.227 eV/atom. Its raw total energy is -23.023 eV per atom. The calculation puts the calculated volume at 93.9 Å³/f.u. For the theoretical density, the calculation gives 10.00 g cm⁻³.

[4]
Crystalline EuMg at its relaxed geometry, computed with r2SCAN.

The space group is Pm-3m (No. 221) and the conventional cell measures 4.041, 4.041 and 4.041 Å, with angles of 90.00, 90.00 and 90.00 degrees. The asymmetric unit holds Eu at (0.000, 0.000, 0.000) and Mg at (0.500, 0.500, 0.500).

As for the calculated formation energy: -0.061 eV/atom. The relative energy among the computed polymorphs is 3 meV/atom. Its raw total energy is -21.407 eV per atom. The calculation puts the calculated volume at 66.0 Å³/f.u. For the theoretical density, the calculation gives 4.43 g cm⁻³.

[5]
Crystalline EuMg at its relaxed geometry, computed with r2SCAN.

The space group is Pmma (No. 51) and the conventional cell measures 5.705, 4.015 and 5.717 Å, with angles of 90.00, 90.00 and 90.00 degrees. The asymmetric unit holds Eu at (0.250, 0.000, 0.234) and Mg at (0.250, 0.500, 0.729).

As for the calculated formation energy: -0.064 eV/atom. The relative energy among the computed polymorphs is 0 meV/atom. Its raw total energy is -21.409 eV per atom. The calculation puts the calculated volume at 65.5 Å³/f.u. For the theoretical density, the calculation gives 4.47 g cm⁻³.

[6]
Crystalline Eu3Mg at its relaxed geometry, computed with r2SCAN.

The space group is Cm (No. 8) and the conventional cell measures 13.595, 4.182 and 5.887 Å, with angles of 90.00, 115.59 and 90.00 degrees. The asymmetric unit holds Eu at (0.000, 0.000, 0.000), Eu at (0.044, 0.500, 0.544), Eu at (0.272, 0.500, 0.260) and Mg at (0.272, 0.000, 0.757).

As for the calculated formation energy: -0.044 eV/atom. The relative energy among the computed polymorphs is 0 meV/atom. Its raw total energy is -29.977 eV per atom. The calculation puts the calculated volume at 150.9 Å³/f.u. For the theoretical density, the calculation gives 5.28 g cm⁻³.